# Ag2S PBE-GGA relaxed
# Formation energy, eV/f.u.: -0.65
# Space-group type: P1, No. 1
data_Ag2S
_chemical_formula_sum 'Ag4 S2'
_cell_length_a 4.241
_cell_length_b 4.264
_cell_length_c 7.680
_cell_angle_alpha 89.15
_cell_angle_beta 89.60
_cell_angle_gamma 68.38
_symmetry_space_group_name_H-M 'P 1'
_symmetry_Int_Tables_number 1
_symmetry_space_group_name_Hall 'P 1'
loop_
_atom_site_label
_atom_site_fract_x
_atom_site_fract_y
_atom_site_fract_z
_atom_site_occupancy
Ag1 0.154 0.119 0.507 1
S1 0.543 0.511 0.493 1
S2 0.977 0.926 0.990 1
Ag2 0.755 0.714 0.238 1
Ag3 0.370 0.321 0.971 1
Ag4 0.763 0.721 0.739 1

# HoCu5 PBE-GGA relaxed
# Formation energy, eV/f.u.: -1.15
# Space-group type: F-43m, No. 216
data_HoCu5
_chemical_formula_sum 'Ho1 Cu5'
_cell_length_a 4.959
_cell_length_b 4.959
_cell_length_c 4.959
_cell_angle_alpha 60.00
_cell_angle_beta 60.00
_cell_angle_gamma 60.00
_symmetry_space_group_name_H-M 'P 1'
_symmetry_Int_Tables_number 1
_symmetry_space_group_name_Hall 'P 1'
loop_
_atom_site_label
_atom_site_fract_x
_atom_site_fract_y
_atom_site_fract_z
_atom_site_occupancy
Cu1 0.624 0.624 0.128 1
Cu2 0.250 0.250 0.250 1
Cu3 0.624 0.128 0.624 1
Ho1 0.000 0.000 0.000 1
Cu4 0.128 0.624 0.624 1
Cu5 0.624 0.624 0.624 1

# HgCSN3Cl2 PBE-GGA relaxed
# Formation energy, eV/f.u.: -0.31
# Space-group type: P2_1/c, No. 14
data_HgCSN3Cl2
_chemical_formula_sum 'Hg4 C4 S4 N12 Cl8'
_cell_length_a 8.533
_cell_length_b 9.645
_cell_length_c 11.820
_cell_angle_alpha 86.64
_cell_angle_beta 90.00
_cell_angle_gamma 90.00
_symmetry_space_group_name_H-M 'P 1'
_symmetry_Int_Tables_number 1
_symmetry_space_group_name_Hall 'P 1'
loop_
_atom_site_label
_atom_site_fract_x
_atom_site_fract_y
_atom_site_fract_z
_atom_site_occupancy
N1 0.669 0.687 0.027 1
Hg1 0.979 0.166 0.793 1
C1 0.563 0.284 0.551 1
C2 0.063 0.716 0.949 1
N2 0.995 0.636 0.895 1
N3 0.203 0.232 0.414 1
N4 0.703 0.768 0.086 1
N5 0.005 0.364 0.105 1
Cl1 0.610 0.026 0.789 1
N6 0.495 0.364 0.605 1
C3 0.937 0.284 0.051 1
N7 0.331 0.313 0.973 1
Hg2 0.521 0.166 0.293 1
S1 0.659 0.164 0.486 1
C4 0.437 0.716 0.449 1
Hg3 0.021 0.834 0.207 1
Hg4 0.479 0.834 0.707 1
S2 0.841 0.164 0.986 1
S3 0.159 0.836 0.014 1
N8 0.505 0.636 0.395 1
S4 0.341 0.836 0.514 1
Cl2 0.390 0.974 0.211 1
Cl3 0.529 0.395 0.205 1
Cl4 0.471 0.605 0.795 1
N9 0.831 0.687 0.527 1
Cl5 0.029 0.605 0.295 1
N10 0.169 0.313 0.473 1
N11 0.297 0.232 0.914 1
Cl6 0.971 0.395 0.705 1
Cl7 0.110 0.974 0.711 1
Cl8 0.890 0.026 0.289 1
N12 0.797 0.768 0.586 1